[1]
MnVP2O8 | PBE+U | relaxed

Cell: 4.913 5.938 10.114 Å, 90.00 91.64 90.00°
Atoms (fractional coordinates):
Mn (0.040, 0.250, 0.227)
Mn (0.960, 0.750, 0.773)
V (0.451, 0.250, 0.716)
V (0.549, 0.750, 0.284)
P (0.113, 0.750, 0.107)
P (0.429, 0.750, 0.586)
P (0.571, 0.250, 0.414)
P (0.887, 0.250, 0.893)
O (0.144, 0.750, 0.959)
O (0.190, 0.250, 0.856)
O (0.266, 0.250, 0.403)
O (0.273, 0.553, 0.180)
O (0.273, 0.947, 0.180)
O (0.296, 0.542, 0.660)
O (0.296, 0.958, 0.660)
O (0.322, 0.750, 0.440)
O (0.678, 0.250, 0.560)
O (0.704, 0.042, 0.340)
O (0.704, 0.458, 0.340)
O (0.727, 0.053, 0.820)
O (0.727, 0.447, 0.820)
O (0.734, 0.750, 0.597)
O (0.810, 0.750, 0.144)
O (0.856, 0.250, 0.041)

Mass density   3.33 g/cm3
Offset from the most stable computed form   31 meV/atom

[2]
Mn5VP6O24 | PBE+U | relaxed

Cell: 8.637 8.637 8.637 Å, 59.81 59.81 59.81°
Atoms (fractional coordinates):
Mn (0.000, 0.000, 0.000)
Mn (0.143, 0.143, 0.143)
Mn (0.499, 0.499, 0.499)
Mn (0.643, 0.643, 0.643)
Mn (0.856, 0.856, 0.856)
V (0.356, 0.356, 0.356)
P (0.040, 0.750, 0.458)
P (0.249, 0.540, 0.957)
P (0.458, 0.040, 0.750)
P (0.540, 0.957, 0.249)
P (0.750, 0.458, 0.040)
P (0.957, 0.249, 0.540)
O (0.013, 0.803, 0.616)
O (0.058, 0.912, 0.261)
O (0.085, 0.735, 0.947)
O (0.117, 0.311, 0.499)
O (0.195, 0.383, 0.985)
O (0.236, 0.583, 0.438)
O (0.261, 0.058, 0.912)
O (0.311, 0.499, 0.117)
O (0.383, 0.985, 0.195)
O (0.415, 0.557, 0.762)
O (0.438, 0.236, 0.583)
O (0.488, 0.881, 0.695)
O (0.499, 0.117, 0.311)
O (0.557, 0.762, 0.415)
O (0.583, 0.438, 0.236)
O (0.616, 0.013, 0.803)
O (0.695, 0.488, 0.881)
O (0.735, 0.947, 0.085)
O (0.762, 0.415, 0.557)
O (0.803, 0.616, 0.013)
O (0.881, 0.695, 0.488)
O (0.912, 0.261, 0.058)
O (0.947, 0.085, 0.735)
O (0.985, 0.195, 0.383)

Mass density   3.28 g/cm3
DFT total energy   -7.447 eV/atom

[3]
MnV3P4O16 | PBE+U | relaxed

Cell: 4.920 5.919 10.100 Å, 90.00 90.69 90.00°
Atoms (fractional coordinates):
Mn (0.000, 0.000, 0.000)
V (0.056, 0.500, 0.455)
V (0.493, 0.500, 0.944)
V (0.556, 0.000, 0.495)
P (0.120, 0.000, 0.325)
P (0.474, 0.000, 0.815)
P (0.625, 0.500, 0.628)
P (0.931, 0.500, 0.124)
O (0.184, 0.000, 0.180)
O (0.236, 0.500, 0.092)
O (0.267, 0.203, 0.401)
O (0.267, 0.797, 0.401)
O (0.318, 0.500, 0.606)
O (0.336, 0.209, 0.891)
O (0.336, 0.791, 0.891)
O (0.382, 0.000, 0.671)
O (0.700, 0.500, 0.777)
O (0.769, 0.298, 0.554)
O (0.769, 0.702, 0.554)
O (0.771, 0.303, 0.052)
O (0.771, 0.697, 0.052)
O (0.778, 0.000, 0.829)
O (0.815, 0.000, 0.351)
O (0.894, 0.500, 0.273)

Mass density   3.32 g/cm3
DFT total energy   -7.590 eV/atom

Please write out number 1 again, unchanged.
MnVP2O8 | PBE+U | relaxed

Cell: 4.913 5.938 10.114 Å, 90.00 91.64 90.00°
Atoms (fractional coordinates):
Mn (0.040, 0.250, 0.227)
Mn (0.960, 0.750, 0.773)
V (0.451, 0.250, 0.716)
V (0.549, 0.750, 0.284)
P (0.113, 0.750, 0.107)
P (0.429, 0.750, 0.586)
P (0.571, 0.250, 0.414)
P (0.887, 0.250, 0.893)
O (0.144, 0.750, 0.959)
O (0.190, 0.250, 0.856)
O (0.266, 0.250, 0.403)
O (0.273, 0.553, 0.180)
O (0.273, 0.947, 0.180)
O (0.296, 0.542, 0.660)
O (0.296, 0.958, 0.660)
O (0.322, 0.750, 0.440)
O (0.678, 0.250, 0.560)
O (0.704, 0.042, 0.340)
O (0.704, 0.458, 0.340)
O (0.727, 0.053, 0.820)
O (0.727, 0.447, 0.820)
O (0.734, 0.750, 0.597)
O (0.810, 0.750, 0.144)
O (0.856, 0.250, 0.041)

Mass density   3.33 g/cm3
Offset from the most stable computed form   31 meV/atom

Question: Among the records above, which one has the lowest mass density?
Answer: Mn5VP6O24